{
  "formula": "Na10Mg8SiS11O48",
  "functional": "PBE",
  "state": "optimized geometry",
  "lattice_angstrom": [[8.857, 0.000, 0.000], [-0.032, 15.379, 0.000], [-0.006, -0.016, 22.168]],
  "species": ["Na", "Na", "Na", "Na", "Na", "Na", "Na", "Na", "Na", "Na", "Na", "Na", "Na", "Na", "Na", "Na", "Na", "Na", "Na", "Na", "Na", "Na", "Na", "Na", "Na", "Na", "Na", "Na", "Na", "Na", "Mg", "Mg", "Mg", "Mg", "Mg", "Mg", "Mg", "Mg", "Mg", "Mg", "Mg", "Mg", "Mg", "Mg", "Mg", "Mg", "Mg", "Mg", "Mg", "Mg", "Mg", "Mg", "Mg", "Mg", "Si", "Si", "Si", "S", "S", "S", "S", "S", "S", "S", "S", "S", "S", "S", "S", "S", "S", "S", "S", "S", "S", "S", "S", "S", "S", "S", "S", "S", "S", "S", "S", "S", "S", "S", "S", "S", "O", "O", "O", "O", "O", "O", "O", "O", "O", "O", "O", "O", "O", "O", "O", "O", "O", "O", "O", "O", "O", "O", "O", "O", "O", "O", "O", "O", "O", "O", "O", "O", "O", "O", "O", "O", "O", "O", "O", "O", "O", "O", "O", "O", "O", "O", "O", "O", "O", "O", "O", "O", "O", "O", "O", "O", "O", "O", "O", "O", "O", "O", "O", "O", "O", "O", "O", "O", "O", "O", "O", "O", "O", "O", "O", "O", "O", "O", "O", "O", "O", "O", "O", "O", "O", "O", "O", "O", "O", "O", "O", "O", "O", "O", "O", "O", "O", "O", "O", "O", "O", "O", "O", "O", "O", "O", "O", "O", "O", "O", "O", "O", "O", "O", "O", "O", "O", "O", "O", "O", "O", "O", "O", "O", "O", "O", "O", "O", "O", "O", "O", "O", "O", "O", "O", "O", "O", "O", "O", "O", "O", "O", "O", "O"],
  "frac_coords": [[0.000, 0.000, 0.000], [0.002, 0.336, 0.342], [0.123, 0.827, 0.090], [0.125, 0.826, 0.594], [0.132, 0.500, 0.258], [0.136, 0.168, 0.927], [0.136, 0.499, 0.758], [0.137, 0.170, 0.427], [0.270, 0.999, 0.500], [0.273, 0.666, 0.176], [0.284, 0.342, 0.838], [0.300, 0.014, 0.846], [0.315, 0.985, 0.184], [0.316, 0.680, 0.509], [0.323, 0.647, 0.842], [0.447, 0.149, 0.342], [0.456, 0.484, 0.683], [0.486, 0.840, 0.339], [0.501, 0.499, 0.002], [0.636, 0.001, 0.259], [0.637, 0.001, 0.758], [0.637, 0.666, 0.927], [0.646, 0.326, 0.094], [0.647, 0.328, 0.591], [0.659, 0.656, 0.425], [0.784, 0.842, 0.839], [0.800, 0.514, 0.846], [0.823, 0.147, 0.842], [0.956, 0.985, 0.685], [0.970, 0.013, 0.346], [0.128, 0.836, 0.440], [0.129, 0.498, 0.608], [0.131, 0.496, 0.110], [0.132, 0.173, 0.574], [0.132, 0.835, 0.742], [0.133, 0.835, 0.245], [0.135, 0.166, 0.774], [0.135, 0.503, 0.410], [0.136, 0.173, 0.076], [0.137, 0.837, 0.943], [0.138, 0.167, 0.274], [0.139, 0.499, 0.911], [0.632, 0.000, 0.410], [0.632, 0.335, 0.742], [0.633, 0.003, 0.609], [0.635, 0.337, 0.239], [0.635, 0.338, 0.445], [0.637, 0.337, 0.943], [0.637, 0.665, 0.774], [0.640, 0.000, 0.911], [0.640, 0.003, 0.108], [0.642, 0.663, 0.276], [0.644, 0.666, 0.576], [0.645, 0.668, 0.075], [0.286, 0.985, 0.342], [0.485, 0.485, 0.842], [0.986, 0.985, 0.842], [0.283, 0.351, 0.009], [0.283, 0.651, 0.011], [0.284, 0.315, 0.676], [0.284, 0.683, 0.342], [0.287, 0.019, 0.674], [0.337, 0.669, 0.674], [0.340, 0.000, 0.011], [0.345, 0.338, 0.342], [0.428, 0.834, 0.842], [0.432, 0.501, 0.511], [0.435, 0.168, 0.175], [0.489, 0.151, 0.509], [0.489, 0.520, 0.174], [0.490, 0.188, 0.843], [0.491, 0.814, 0.176], [0.491, 0.851, 0.509], [0.782, 0.190, 0.342], [0.782, 0.851, 0.009], [0.783, 0.481, 0.342], [0.783, 0.815, 0.675], [0.784, 0.151, 0.009], [0.788, 0.519, 0.676], [0.837, 0.169, 0.676], [0.839, 0.831, 0.342], [0.841, 0.501, 0.009], [0.928, 0.334, 0.842], [0.931, 0.000, 0.510], [0.933, 0.668, 0.176], [0.984, 0.019, 0.174], [0.987, 0.316, 0.178], [0.987, 0.352, 0.507], [0.988, 0.649, 0.508], [0.990, 0.688, 0.843], [0.011, 0.924, 0.782], [0.016, 0.070, 0.230], [0.018, 0.416, 0.849], [0.018, 0.597, 0.454], [0.020, 0.741, 0.897], [0.022, 0.262, 0.125], [0.023, 0.406, 0.560], [0.028, 0.921, 0.508], [0.034, 0.078, 0.513], [0.035, 0.590, 0.172], [0.037, 0.260, 0.835], [0.037, 0.745, 0.181], [0.046, 0.392, 0.450], [0.046, 0.597, 0.849], [0.047, 0.276, 0.234], [0.051, 0.062, 0.120], [0.057, 0.264, 0.512], [0.058, 0.404, 0.172], [0.058, 0.932, 0.178], [0.059, 0.607, 0.562], [0.064, 0.083, 0.837], [0.064, 0.736, 0.503], [0.065, 0.942, 0.902], [0.066, 0.724, 0.789], [0.207, 0.082, 0.337], [0.209, 0.941, 0.402], [0.213, 0.264, 0.015], [0.213, 0.932, 0.677], [0.217, 0.739, 0.005], [0.219, 0.405, 0.672], [0.219, 0.595, 0.348], [0.220, 0.063, 0.620], [0.222, 0.724, 0.287], [0.223, 0.609, 0.066], [0.224, 0.389, 0.952], [0.227, 0.276, 0.733], [0.238, 0.078, 0.014], [0.238, 0.746, 0.680], [0.243, 0.259, 0.337], [0.243, 0.415, 0.348], [0.243, 0.921, 0.009], [0.244, 0.262, 0.623], [0.245, 0.587, 0.670], [0.250, 0.409, 0.060], [0.252, 0.597, 0.956], [0.255, 0.738, 0.396], [0.256, 0.070, 0.730], [0.260, 0.924, 0.282], [0.300, 0.496, 0.847], [0.320, 0.155, 0.514], [0.320, 0.513, 0.170], [0.321, 0.820, 0.177], [0.321, 0.840, 0.506], [0.322, 0.184, 0.835], [0.330, 0.515, 0.459], [0.334, 0.846, 0.788], [0.336, 0.177, 0.122], [0.336, 0.814, 0.896], [0.343, 0.156, 0.231], [0.343, 0.492, 0.567], [0.430, 0.678, 0.619], [0.432, 0.009, 0.955], [0.435, 0.658, 0.728], [0.435, 0.994, 0.065], [0.437, 0.347, 0.287], [0.439, 0.323, 0.396], [0.451, 0.343, 0.006], [0.452, 0.324, 0.677], [0.452, 0.656, 0.014], [0.453, 0.009, 0.669], [0.453, 0.679, 0.337], [0.472, 0.996, 0.347], [0.510, 0.424, 0.782], [0.516, 0.098, 0.453], [0.517, 0.916, 0.849], [0.518, 0.577, 0.226], [0.519, 0.241, 0.897], [0.522, 0.908, 0.561], [0.526, 0.582, 0.514], [0.527, 0.087, 0.170], [0.527, 0.759, 0.124], [0.529, 0.423, 0.504], [0.534, 0.246, 0.180], [0.537, 0.761, 0.835], [0.545, 0.097, 0.850], [0.547, 0.776, 0.233], [0.548, 0.559, 0.117], [0.548, 0.890, 0.453], [0.551, 0.905, 0.170], [0.553, 0.106, 0.562], [0.554, 0.239, 0.504], [0.555, 0.762, 0.515], [0.556, 0.432, 0.180], [0.562, 0.583, 0.837], [0.564, 0.442, 0.902], [0.566, 0.224, 0.789], [0.708, 0.228, 0.289], [0.713, 0.764, 0.015], [0.715, 0.431, 0.679], [0.716, 0.564, 0.624], [0.717, 0.570, 0.336], [0.718, 0.239, 0.004], [0.719, 0.905, 0.671], [0.720, 0.107, 0.062], [0.720, 0.441, 0.397], [0.723, 0.099, 0.349], [0.724, 0.890, 0.952], [0.727, 0.776, 0.732], [0.729, 0.758, 0.336], [0.738, 0.246, 0.680], [0.738, 0.578, 0.012], [0.743, 0.763, 0.623], [0.744, 0.421, 0.008], [0.745, 0.087, 0.671], [0.749, 0.909, 0.060], [0.749, 0.913, 0.348], [0.753, 0.243, 0.396], [0.755, 0.426, 0.289], [0.756, 0.099, 0.953], [0.760, 0.568, 0.733], [0.800, 0.995, 0.847], [0.818, 0.009, 0.169], [0.820, 0.325, 0.181], [0.820, 0.343, 0.504], [0.822, 0.684, 0.835], [0.823, 0.660, 0.515], [0.834, 0.345, 0.788], [0.836, 0.314, 0.896], [0.836, 0.994, 0.565], [0.839, 0.009, 0.455], [0.840, 0.658, 0.230], [0.842, 0.678, 0.121], [0.929, 0.509, 0.952], [0.929, 0.816, 0.397], [0.930, 0.157, 0.731], [0.933, 0.843, 0.288], [0.935, 0.177, 0.622], [0.940, 0.495, 0.061], [0.950, 0.184, 0.336], [0.950, 0.844, 0.006], [0.951, 0.824, 0.677], [0.952, 0.488, 0.347], [0.953, 0.156, 0.014], [0.954, 0.510, 0.669]],
  "ef_mev_per_atom": -2373
}